The following is a DFT calculation (PBE) of a geometry-optimized ReC2I2O2 structure.

Results
final energy	-6.77	eV per atom

Cell: 13.310 13.310 13.310 Å, 31.86 31.86 31.86°
Atoms (fractional coordinates):
Re: 0.908 0.908 0.908
Re: 0.000 0.000 0.000
Re: 0.092 0.092 0.092
C: 0.113 0.341 0.906
C: 0.659 0.094 0.887
C: 0.906 0.113 0.341
C: 0.094 0.887 0.659
C: 0.887 0.659 0.094
C: 0.341 0.906 0.113
I: 0.953 0.258 0.658
I: 0.342 0.047 0.742
I: 0.258 0.658 0.953
I: 0.658 0.953 0.258
I: 0.742 0.342 0.047
I: 0.047 0.742 0.342
O: 0.504 0.209 0.877
O: 0.123 0.496 0.791
O: 0.877 0.504 0.209
O: 0.791 0.123 0.496
O: 0.209 0.877 0.504
O: 0.496 0.791 0.123